# 1
BaGe3 | r²SCAN | relaxed Values from VASP.

```
&SYSTEM
  ibrav = 0, nat = 8, ntyp = 2
/
ATOMIC_SPECIES
Ge 72.64 Ge.upf
Ba 137.33 Ba.upf
CELL_PARAMETERS angstrom
-0.4789 6.8749 -0.0323
-5.5383 -3.8467 -1.4232
-1.2228 -0.0620 4.9260
ATOMIC_POSITIONS crystal
Ge 0.2509 0.1254 0.7500
Ge 0.1254 0.8746 0.2500
Ge 0.1254 0.2509 0.2500
Ge 0.7491 0.8746 0.2500
Ge 0.8746 0.1254 0.7500
Ge 0.8746 0.7491 0.7500
Ba 0.6667 0.3333 0.2500
Ba 0.3333 0.6667 0.7500
```

Electronic total energy, hartree per atom: -0.639
DFT formation energy, kJ per mole of atoms: -34.7

# 2
LiCaBi | r²SCAN | relaxed Values from VASP.

```
&SYSTEM
  ibrav = 0, nat = 12, ntyp = 3
/
ATOMIC_SPECIES
Bi 208.98 Bi.upf
Li 6.94 Li.upf
Ca 40.08 Ca.upf
CELL_PARAMETERS angstrom
4.7137 0.0000 0.0000
0.0000 7.8153 0.0000
0.0000 0.0000 8.5619
ATOMIC_POSITIONS crystal
Bi 0.2500 0.2673 0.1037
Bi 0.7500 0.7327 0.8963
Bi 0.7500 0.2327 0.6037
Bi 0.2500 0.7673 0.3963
Li 0.7500 0.8519 0.5695
Li 0.2500 0.1481 0.4305
Li 0.2500 0.6481 0.0695
Li 0.7500 0.3519 0.9305
Ca 0.7500 0.4863 0.3009
Ca 0.7500 0.9863 0.1991
Ca 0.2500 0.5137 0.6991
Ca 0.2500 0.0137 0.8009
```

Electronic total energy, hartree per atom: -0.867
DFT formation energy, kJ per mole of atoms: -91.7

# 3
Cs | r²SCAN | relaxed Values from VASP.

```
&SYSTEM
  ibrav = 0, nat = 1, ntyp = 1
/
ATOMIC_SPECIES
Cs 132.91 Cs.upf
CELL_PARAMETERS angstrom
2.4414 4.5172 2.1938
5.4121 0.9891 -0.9536
1.5241 4.2333 -3.3068
ATOMIC_POSITIONS crystal
Cs 0.0000 0.0000 0.0000
```

Electronic total energy, hartree per atom: -0.922
Energy relative to the lowest polymorph listed for this composition, eV/atom: 0.009
DFT formation energy, kJ per mole of atoms: 0.9

# 4
NaMn4O8 | r²SCAN | relaxed Values from VASP.

```
&SYSTEM
  ibrav = 0, nat = 13, ntyp = 3
/
ATOMIC_SPECIES
O 16.00 O.upf
Mn 54.94 Mn.upf
Na 22.99 Na.upf
CELL_PARAMETERS angstrom
2.8343 4.9105 0.0224
-2.8343 4.9105 0.0224
0.0000 3.2933 5.6267
ATOMIC_POSITIONS crystal
O 0.7281 0.7281 0.8233
O 0.2251 0.2251 0.8273
O 0.7774 0.2718 0.1767
O 0.7749 0.7749 0.1727
O 0.2719 0.2719 0.1767
O 0.7282 0.2226 0.8233
O 0.2226 0.7282 0.8233
O 0.2718 0.7774 0.1767
Mn 0.5000 0.5000 0.0000
Mn 0.0000 0.0000 0.0000
Mn 0.0000 0.5000 0.0000
Mn 0.5000 0.0000 0.0000
Na 0.0000 0.0000 0.5000
```

Electronic total energy, hartree per atom: -0.386
DFT formation energy, kJ per mole of atoms: -197.6